Entry from the Materials Project: ZnS after structural relaxation (GGA-PBE).

Values from the calculation:
Total moment (μB per formula unit): 0.000
E_tot (eV per atom): -3.038
Energy of formation (eV/atom): -0.591
Density (kg/m3): 3332
Calculated volume (Å³ per cell): 2428.8

Cell and atoms, written as CIF:
```
data_ZnS
_symmetry_space_group_name_H-M 'P 1'
_symmetry_Int_Tables_number 1
_cell_length_a 13.385
_cell_length_b 13.453
_cell_length_c 13.547
_cell_angle_alpha 85.53
_cell_angle_beta 89.89
_cell_angle_gamma 87.05
loop_
_symmetry_equiv_pos_as_xyz
'x,y,z'
loop_
_atom_site_label
_atom_site_fract_x
_atom_site_fract_y
_atom_site_fract_z
Zn1 0.000 0.000 0.000
Zn2 0.008 0.248 0.891
Zn3 0.030 0.839 0.183
Zn4 0.043 0.559 0.026
Zn5 0.078 0.330 0.479
Zn6 0.080 0.406 0.233
Zn7 0.091 0.861 0.859
Zn8 0.105 0.066 0.736
Zn9 0.156 0.830 0.445
Zn10 0.211 0.060 0.003
Zn11 0.247 0.747 0.028
Zn12 0.254 0.586 0.122
Zn13 0.266 0.738 0.692
Zn14 0.296 0.323 0.312
Zn15 0.334 0.945 0.813
Zn16 0.375 0.438 0.674
Zn17 0.413 0.115 0.475
Zn18 0.423 0.258 0.673
Zn19 0.433 0.838 0.471
Zn20 0.455 0.623 0.263
Zn21 0.466 0.564 0.872
Zn22 0.482 0.008 0.111
Zn23 0.490 0.461 0.155
Zn24 0.508 0.722 0.726
Zn25 0.512 0.134 0.898
Zn26 0.546 0.302 0.056
Zn27 0.546 0.999 0.690
Zn28 0.550 0.862 0.011
Zn29 0.562 0.963 0.281
Zn30 0.564 0.362 0.743
Zn31 0.572 0.194 0.341
Zn32 0.628 0.602 0.213
Zn33 0.633 0.121 0.192
Zn34 0.651 0.691 0.832
Zn35 0.665 0.366 0.192
Zn36 0.697 0.024 0.598
Zn37 0.705 0.345 0.502
Zn38 0.727 0.224 0.896
Zn39 0.733 0.468 0.947
Zn40 0.742 0.876 0.493
Zn41 0.754 0.547 0.676
Zn42 0.834 0.148 0.370
Zn43 0.845 0.813 0.982
Zn44 0.847 0.473 0.254
Zn45 0.900 0.245 0.626
Zn46 0.910 0.962 0.381
Zn47 0.913 0.039 0.541
Zn48 0.934 0.289 0.097
Zn49 0.963 0.499 0.570
Zn50 0.986 0.713 0.671
S1 0.006 0.826 0.350
S2 0.016 0.330 0.739
S3 0.045 0.602 0.863
S4 0.052 0.156 0.033
S5 0.072 0.394 0.069
S6 0.075 0.985 0.589
S7 0.078 0.227 0.641
S8 0.131 0.484 0.518
S9 0.135 0.273 0.335
S10 0.135 0.722 0.593
S11 0.159 0.897 0.072
S12 0.181 0.994 0.479
S13 0.240 0.089 0.835
S14 0.246 0.389 0.589
S15 0.250 0.799 0.851
S16 0.305 0.630 0.336
S17 0.306 0.781 0.364
S18 0.324 0.428 0.174
S19 0.345 0.128 0.090
S20 0.374 0.588 0.734
S21 0.398 0.102 0.641
S22 0.398 0.236 0.984
S23 0.403 0.840 0.643
S24 0.422 0.990 0.373
S25 0.432 0.745 0.074
S26 0.434 0.274 0.404
S27 0.489 0.610 0.026
S28 0.495 0.967 0.869
S29 0.569 0.418 0.905
S30 0.602 0.769 0.459
S31 0.619 0.195 0.773
S32 0.626 0.428 0.357
S33 0.637 0.453 0.615
S34 0.643 0.140 0.026
S35 0.664 0.824 0.323
S36 0.688 0.176 0.468
S37 0.689 0.768 0.973
S38 0.724 0.544 0.357
S39 0.742 0.512 0.112
S40 0.789 0.582 0.831
S41 0.831 0.101 0.670
S42 0.832 0.286 0.238
S43 0.847 0.320 0.943
S44 0.867 0.641 0.582
S45 0.887 0.367 0.498
S46 0.889 0.914 0.097
S47 0.970 0.743 0.847
S48 0.980 0.993 0.832
S49 0.987 0.656 0.149
S50 0.996 0.554 0.275
```